This record from Materials Project describes a geometry-optimized Be2Si2O5 structure. The functional is PBE-GGA.

Values from the calculation:
DFT total energy, eV/atom: -6.317

Geometry as CIF:
```
data_Be2Si2O5
_cell_length_a 3.3313
_cell_length_b 3.3313
_cell_length_c 6.6810
_cell_angle_alpha 90.00
_cell_angle_beta 90.00
_cell_angle_gamma 90.00
_space_group_name_H-M_alt 'P 4/m m m'
_space_group_IT_number 123
_space_group_name_Hall '-P 4 2'
loop_
_atom_site_label
_atom_site_fract_x
_atom_site_fract_y
_atom_site_fract_z
_atom_site_occupancy
Be1 0.0000 0.0000 0.2482 1
Si1 0.5000 0.5000 0.0000 1
Si2 0.5000 0.5000 0.5000 1
O1 0.0000 0.0000 0.5000 1
O2 0.0000 0.5000 0.1729 1
```

This record from Materials Project describes a geometry-optimized CuCl structure. The functional is PBE-GGA.

Values from the calculation:
DFT total energy, eV/atom: -3.176

Geometry as CIF:
```
data_CuCl
_cell_length_a 5.1118
_cell_length_b 5.1118
_cell_length_c 5.1118
_cell_angle_alpha 90.00
_cell_angle_beta 90.00
_cell_angle_gamma 90.00
_space_group_name_H-M_alt 'F m -3 m'
_space_group_IT_number 225
_space_group_name_Hall '-F 4 2 3'
loop_
_atom_site_label
_atom_site_fract_x
_atom_site_fract_y
_atom_site_fract_z
_atom_site_occupancy
Cu1 0.0000 0.0000 0.0000 1
Cl1 0.0000 0.0000 0.5000 1
```

This record from Materials Project describes a geometry-optimized Ba4Li2Cd3As6 structure. The functional is PBE-GGA.

Values from the calculation:
DFT total energy, eV/atom: -3.640

Geometry as CIF:
```
data_Ba4Li2Cd3As6
_cell_length_a 4.6643
_cell_length_b 20.6364
_cell_length_c 17.3746
_cell_angle_alpha 90.00
_cell_angle_beta 90.00
_cell_angle_gamma 90.00
_space_group_name_H-M_alt 'C m c m'
_space_group_IT_number 63
_space_group_name_Hall '-C 2c 2'
loop_
_atom_site_label
_atom_site_fract_x
_atom_site_fract_y
_atom_site_fract_z
_atom_site_occupancy
Ba1 0.0000 0.0166 0.1216 1
Ba2 0.0000 0.1732 0.5697 1
Li1 0.0000 0.1491 0.2500 1
Li2 0.0000 0.4361 0.2500 1
Cd1 0.0000 0.2961 0.2500 1
Cd2 0.0000 0.3510 0.6234 1
As1 0.0000 0.1195 0.7500 1
As2 0.0000 0.2196 0.1176 1
As3 0.0000 0.4319 0.7500 1
As4 0.0000 0.4397 0.0133 1
```

This record from Materials Project describes a geometry-optimized Na3Zn2In2PS5O24 structure. The functional is PBE-GGA.

Values from the calculation:
DFT total energy, eV/atom: -5.851

Geometry as CIF:
```
data_Na3Zn2In2PS5O24
_cell_length_a 8.8222
_cell_length_b 8.8373
_cell_length_c 23.0300
_cell_angle_alpha 89.64
_cell_angle_beta 89.48
_cell_angle_gamma 60.06
_space_group_name_H-M_alt 'P 1'
_space_group_IT_number 1
loop_
_space_group_symop_operation_xyz
'x,y,z'
loop_
_atom_site_label
_atom_site_fract_x
_atom_site_fract_y
_atom_site_fract_z
_atom_site_occupancy
Na1 0.0000 0.0000 0.0000 1
Na2 0.0046 0.6331 0.7462 1
Na3 0.2992 0.6615 0.5835 1
Na4 0.3366 0.3257 0.6666 1
Na5 0.3537 0.3305 0.1663 1
Na6 0.6466 0.6691 0.8297 1
Na7 0.6560 0.6697 0.3304 1
Na8 0.9884 0.0040 0.4996 1
Na9 0.9953 0.3652 0.2510 1
Zn1 0.3193 0.3367 0.5164 1
Zn2 0.3350 0.3315 0.0160 1
Zn3 0.3418 0.3385 0.8173 1
Zn4 0.3549 0.3316 0.3171 1
Zn5 0.6573 0.6626 0.1824 1
Zn6 0.6620 0.6663 0.6817 1
In1 0.0089 0.9960 0.8506 1
In2 0.6649 0.6678 0.9830 1
In3 0.6758 0.6669 0.4829 1
In4 0.9928 0.0025 0.1499 1
In5 0.9933 0.0040 0.3498 1
In6 0.9980 0.9973 0.6512 1
P1 0.3058 0.6970 0.7493 1
P2 0.6986 0.3017 0.2492 1
P3 0.9639 0.6633 0.5856 1
S1 0.0002 0.2986 0.7500 1
S2 0.0004 0.6991 0.2499 1
S3 0.0408 0.6245 0.9165 1
S4 0.0433 0.3318 0.4146 1
S5 0.2999 0.9987 0.2499 1
S6 0.3334 0.6285 0.4176 1
S7 0.3338 0.0449 0.9168 1
S8 0.3694 0.6647 0.0838 1
S9 0.3738 0.9643 0.5833 1
S10 0.6216 0.0434 0.4174 1
S11 0.6269 0.3321 0.9170 1
S12 0.6635 0.9616 0.0839 1
S13 0.6667 0.3703 0.5831 1
S14 0.6975 0.0028 0.7512 1
S15 0.9667 0.3715 0.0839 1
O1 0.0191 0.8044 0.9134 1
O2 0.0247 0.1717 0.4128 1
O3 0.0262 0.1917 0.6974 1
O4 0.0345 0.7766 0.1975 1
O5 0.1160 0.5277 0.8619 1
O6 0.1227 0.3520 0.3606 1
O7 0.1408 0.3551 0.0767 1
O8 0.1448 0.3122 0.4673 1
O9 0.1458 0.5411 0.9684 1
O10 0.1516 0.5022 0.5790 1
O11 0.1540 0.5212 0.2564 1
O12 0.1588 0.3145 0.7558 1
O13 0.1740 0.0249 0.9140 1
O14 0.1737 0.8069 0.4123 1
O15 0.1867 0.0311 0.1980 1
O16 0.1890 0.7738 0.6935 1
O17 0.1918 0.8259 0.0888 1
O18 0.1951 0.9804 0.5881 1
O19 0.2184 0.8141 0.8029 1
O20 0.2215 0.9653 0.3028 1
O21 0.3053 0.1630 0.2567 1
O22 0.3091 0.5200 0.7565 1
O23 0.3110 0.5522 0.4721 1
O24 0.3130 0.1446 0.9699 1
O25 0.3521 0.5078 0.0774 1
O26 0.3547 0.1250 0.8634 1
O27 0.3550 0.5248 0.3655 1
O28 0.3568 0.1371 0.5758 1
O29 0.4440 0.6969 0.0297 1
O30 0.4462 0.8514 0.5306 1
O31 0.4752 0.6425 0.1352 1
O32 0.4747 0.8456 0.2427 1
O33 0.4768 0.8818 0.6354 1
O34 0.4859 0.6797 0.7420 1
O35 0.4924 0.8646 0.9203 1
O36 0.4931 0.6481 0.4212 1
O37 0.5070 0.1370 0.0780 1
O38 0.5076 0.3543 0.5770 1
O39 0.5184 0.3190 0.2562 1
O40 0.5231 0.1211 0.3640 1
O41 0.5231 0.1561 0.7581 1
O42 0.5259 0.3561 0.8640 1
O43 0.5405 0.1458 0.4703 1
O44 0.5469 0.3095 0.9702 1
O45 0.6364 0.4815 0.6342 1
O46 0.6409 0.8646 0.4203 1
O47 0.6438 0.8756 0.1358 1
O48 0.6468 0.4914 0.9211 1
O49 0.6915 0.4807 0.2427 1
O50 0.6919 0.8389 0.7449 1
O51 0.6931 0.8573 0.0298 1
O52 0.6945 0.4466 0.5289 1
O53 0.7734 0.0368 0.6979 1
O54 0.7805 0.1874 0.1948 1
O55 0.8025 0.0212 0.4138 1
O56 0.8059 0.1732 0.9122 1
O57 0.8129 0.9704 0.8024 1
O58 0.8214 0.2224 0.3030 1
O59 0.8254 0.9777 0.0867 1
O60 0.8262 0.1956 0.5886 1
O61 0.8416 0.6840 0.2436 1
O62 0.8457 0.4758 0.7448 1
O63 0.8543 0.6956 0.5305 1
O64 0.8564 0.4513 0.0315 1
O65 0.8618 0.6439 0.9212 1
O66 0.8636 0.4900 0.4187 1
O67 0.8806 0.6423 0.6416 1
O68 0.8857 0.4725 0.1373 1
O69 0.9680 0.2198 0.8026 1
O70 0.9733 0.8069 0.3026 1
O71 0.9848 0.1931 0.0871 1
O72 0.9901 0.8279 0.5875 1
```

This record from Materials Project describes a geometry-optimized Na2LaTa3Si4S2O24 structure. The functional is PBE-GGA.

Values from the calculation:
DFT total energy, eV/atom: -7.792

Geometry as CIF:
```
data_Na2LaTa3Si4S2O24
_cell_length_a 9.0008
_cell_length_b 9.0391
_cell_length_c 23.3889
_cell_angle_alpha 89.11
_cell_angle_beta 89.84
_cell_angle_gamma 60.27
_space_group_name_H-M_alt 'P 1'
_space_group_IT_number 1
loop_
_space_group_symop_operation_xyz
'x,y,z'
loop_
_atom_site_label
_atom_site_fract_x
_atom_site_fract_y
_atom_site_fract_z
_atom_site_occupancy
Na1 0.0000 0.0000 0.0000 1
Na2 0.0003 0.0127 0.5008 1
Na3 0.3153 0.3299 0.6698 1
Na4 0.3369 0.3423 0.1618 1
Na5 0.6550 0.6759 0.3278 1
Na6 0.6676 0.6781 0.8351 1
La1 0.3362 0.3159 0.5124 1
La2 0.6696 0.6565 0.1853 1
La3 0.6829 0.6634 0.6961 1
Ta1 0.0093 0.9907 0.3522 1
Ta2 0.0140 0.9996 0.6519 1
Ta3 0.0149 0.9801 0.8614 1
Ta4 0.3278 0.3303 0.8169 1
Ta5 0.3422 0.3321 0.0152 1
Ta6 0.3652 0.3151 0.3116 1
Ta7 0.6701 0.6488 0.4782 1
Ta8 0.6900 0.6466 0.9770 1
Ta9 0.9947 0.9792 0.1432 1
Si1 0.0236 0.7044 0.7556 1
Si2 0.0531 0.3216 0.9181 1
Si3 0.2851 0.0074 0.7577 1
Si4 0.2847 0.7031 0.2523 1
Si5 0.3414 0.0253 0.4145 1
Si6 0.3497 0.6098 0.9154 1
Si7 0.6231 0.0388 0.9165 1
Si8 0.6440 0.3211 0.4157 1
Si9 0.6722 0.3618 0.0823 1
Si10 0.7212 0.9937 0.2523 1
Si11 0.9635 0.3601 0.5858 1
Si12 0.9732 0.6486 0.0816 1
S1 0.0218 0.2692 0.2531 1
S2 0.0317 0.6315 0.4144 1
S3 0.3686 0.9638 0.0800 1
S4 0.3712 0.6753 0.5836 1
S5 0.6893 0.9473 0.5823 1
S6 0.7200 0.2614 0.7545 1
O1 0.0003 0.8085 0.4038 1
O2 0.0057 0.8253 0.8093 1
O3 0.0094 0.1777 0.3051 1
O4 0.0235 0.1598 0.9094 1
O5 0.0311 0.8078 0.6952 1
O6 0.0385 0.1729 0.2007 1
O7 0.1170 0.5173 0.3663 1
O8 0.1272 0.5781 0.4679 1
O9 0.1396 0.3587 0.8609 1
O10 0.1552 0.3280 0.5822 1
O11 0.1639 0.4916 0.0677 1
O12 0.1686 0.0284 0.6963 1
O13 0.1692 0.8066 0.1942 1
O14 0.1698 0.0030 0.8102 1
O15 0.1737 0.2956 0.9725 1
O16 0.1768 0.8001 0.9100 1
O17 0.1772 0.8196 0.3063 1
O18 0.1791 0.2845 0.2600 1
O19 0.1872 0.9859 0.3998 1
O20 0.1946 0.9795 0.0877 1
O21 0.2014 0.5190 0.7593 1
O22 0.2008 0.8391 0.5866 1
O23 0.2846 0.1275 0.4725 1
O24 0.2878 0.5174 0.2628 1
O25 0.2999 0.1813 0.7601 1
O26 0.3144 0.5213 0.9711 1
O27 0.3419 0.5314 0.5765 1
O28 0.3429 0.1379 0.0696 1
O29 0.3661 0.1375 0.3615 1
O30 0.3721 0.4914 0.8602 1
O31 0.4547 0.8490 0.0318 1
O32 0.4633 0.6931 0.5304 1
O33 0.4634 0.8350 0.7573 1
O34 0.4642 0.9056 0.1340 1
O35 0.4688 0.6541 0.6349 1
O36 0.4728 0.6765 0.2555 1
O37 0.5016 0.1351 0.8601 1
O38 0.5077 0.3566 0.3614 1
O39 0.5132 0.6363 0.9274 1
O40 0.5165 0.3228 0.0673 1
O41 0.5186 0.8393 0.4268 1
O42 0.5309 0.1598 0.9709 1
O43 0.5311 0.1755 0.2585 1
O44 0.5462 0.1236 0.5780 1
O45 0.5516 0.2703 0.7552 1
O46 0.5834 0.2818 0.4745 1
O47 0.6228 0.4645 0.1404 1
O48 0.6438 0.8495 0.9285 1
O49 0.6537 0.5015 0.4248 1
O50 0.6602 0.8763 0.6345 1
O51 0.6971 0.4703 0.0282 1
O52 0.6972 0.8322 0.2556 1
O53 0.6994 0.8435 0.5311 1
O54 0.7009 0.4308 0.7524 1
O55 0.8079 0.1646 0.6998 1
O56 0.8110 0.0187 0.1929 1
O57 0.8140 0.0174 0.9072 1
O58 0.8235 0.1735 0.8053 1
O59 0.8302 0.9994 0.3061 1
O60 0.8346 0.1683 0.4012 1
O61 0.8365 0.4731 0.5275 1
O62 0.8400 0.6856 0.0275 1
O63 0.8523 0.1737 0.0919 1
O64 0.8541 0.9508 0.5868 1
O65 0.8577 0.6476 0.4225 1
O66 0.8586 0.6817 0.7598 1
O67 0.8645 0.4959 0.9262 1
O68 0.8691 0.4370 0.2545 1
O69 0.8715 0.4648 0.6409 1
O70 0.9121 0.6139 0.1414 1
O71 0.9685 0.1710 0.5914 1
O72 0.9888 0.8280 0.0893 1
```

This record from Materials Project describes a geometry-optimized CrN2 structure. The functional is PBE-GGA.

Values from the calculation:
DFT total energy, eV/atom: -8.527

Geometry as CIF:
```
data_CrN2
_cell_length_a 13.6917
_cell_length_b 5.5330
_cell_length_c 4.9449
_cell_angle_alpha 90.00
_cell_angle_beta 99.84
_cell_angle_gamma 90.00
_space_group_name_H-M_alt 'C 1 2/c 1'
_space_group_IT_number 15
loop_
_space_group_symop_operation_xyz
'x,y,z'
'-x,-y,-z'
'-x,y,-z+1/2'
'x,-y,z+1/2'
'x+1/2,y+1/2,z'
'-x+1/2,-y+1/2,-z'
'-x+1/2,y+1/2,-z+1/2'
'x+1/2,-y+1/2,z+1/2'
loop_
_atom_site_label
_atom_site_fract_x
_atom_site_fract_y
_atom_site_fract_z
_atom_site_occupancy
Cr1 0.0000 0.0752 0.2500 1
Cr2 0.1693 0.4163 0.7900 1
N1 0.0709 0.1354 0.9653 1
N2 0.0957 0.3613 0.4764 1
N3 0.2437 0.3711 0.1998 1
```

This record from Materials Project describes a geometry-optimized Mg3Bi2P2O12 structure. The functional is PBE-GGA.

Values from the calculation:
Distance to the lowest polymorph of the same formula, meV per atom: 7

Geometry as CIF:
```
data_Mg3Bi2P2O12
_cell_length_a 7.1571
_cell_length_b 5.3551
_cell_length_c 7.3842
_cell_angle_alpha 90.00
_cell_angle_beta 114.36
_cell_angle_gamma 90.00
_space_group_name_H-M_alt 'P 1 m 1'
_space_group_IT_number 6
loop_
_space_group_symop_operation_xyz
'x,y,z'
'x,-y,z'
loop_
_atom_site_label
_atom_site_fract_x
_atom_site_fract_y
_atom_site_fract_z
_atom_site_occupancy
Mg1 0.0000 0.0000 0.0000 1
Mg2 0.1741 0.5000 0.7903 1
Mg3 0.6208 0.0000 0.6080 1
Bi1 0.2966 0.5000 0.2900 1
Bi2 0.5046 0.0000 0.1134 1
P1 0.1030 0.0000 0.5085 1
P2 0.6994 0.5000 0.8961 1
O1 0.0078 0.0000 0.2782 1
O2 0.0317 0.2314 0.5892 1
O3 0.2270 0.2508 0.0261 1
O4 0.3384 0.0000 0.5894 1
O5 0.4631 0.5000 0.8051 1
O6 0.5549 0.2376 0.3735 1
O7 0.7758 0.2575 0.8271 1
O8 0.7913 0.5000 0.1241 1
```

This record from Materials Project describes a geometry-optimized SmSi2Ni9 structure. The functional is PBE-GGA.

Values from the calculation:
DFT total energy, eV/atom: -6.108

Geometry as CIF:
```
data_SmSi2Ni9
_cell_length_a 9.7923
_cell_length_b 9.7923
_cell_length_c 6.1729
_cell_angle_alpha 90.00
_cell_angle_beta 90.00
_cell_angle_gamma 90.00
_space_group_name_H-M_alt 'I 41/a m d'
_space_group_IT_number 141
loop_
_space_group_symop_operation_xyz
'x,y,z'
'-x,-y,-z'
'-y+1/4,x+3/4,z+1/4'
'y+1/4,-x+3/4,-z+1/4'
'-x+1/2,-y,z+1/2'
'x+1/2,y,-z+1/2'
'y+1/4,-x+1/4,z+3/4'
'-y+1/4,x+1/4,-z+3/4'
'x,-y,-z'
'-x,y,z'
'-y+1/4,-x+1/4,-z+3/4'
'y+1/4,x+1/4,z+3/4'
'-x+1/2,y,-z+1/2'
'x+1/2,-y,z+1/2'
'y+1/4,x+3/4,-z+1/4'
'-y+1/4,-x+3/4,z+1/4'
'x+1/2,y+1/2,z+1/2'
'-x+1/2,-y+1/2,-z+1/2'
'-y+3/4,x+1/4,z+3/4'
'y+3/4,-x+1/4,-z+3/4'
'-x,-y+1/2,z'
'x,y+1/2,-z'
'y+3/4,-x+3/4,z+1/4'
'-y+3/4,x+3/4,-z+1/4'
'x+1/2,-y+1/2,-z+1/2'
'-x+1/2,y+1/2,z+1/2'
'-y+3/4,-x+3/4,-z+1/4'
'y+3/4,x+3/4,z+1/4'
'-x,y+1/2,-z'
'x,-y+1/2,z'
'y+3/4,x+1/4,-z+3/4'
'-y+3/4,-x+1/4,z+3/4'
loop_
_atom_site_label
_atom_site_fract_x
_atom_site_fract_y
_atom_site_fract_z
_atom_site_occupancy
Sm1 0.0000 0.2500 0.3750 1
Si1 0.0000 0.0000 0.0000 1
Ni1 0.0000 0.2500 0.8750 1
Ni2 0.1243 0.0464 0.6875 1
```

This record from Materials Project describes a geometry-optimized CaAgO2 structure. The functional is PBE-GGA.

Values from the calculation:
DFT total energy, eV/atom: -5.215

Geometry as CIF:
```
data_CaAgO2
_cell_length_a 3.3825
_cell_length_b 3.3825
_cell_length_c 4.7297
_cell_angle_alpha 90.00
_cell_angle_beta 90.00
_cell_angle_gamma 90.00
_space_group_name_H-M_alt 'P 4/m m m'
_space_group_IT_number 123
_space_group_name_Hall '-P 4 2'
loop_
_atom_site_label
_atom_site_fract_x
_atom_site_fract_y
_atom_site_fract_z
_atom_site_occupancy
Ca1 0.0000 0.0000 0.0000 1
Ag1 0.5000 0.5000 0.5000 1
O1 0.0000 0.0000 0.5000 1
O2 0.5000 0.5000 0.0000 1
```